First-principles (GGA-PBE) data for an optimized crystal structure of LiLa8Cu3O16, as listed in the Materials Project database.

```
28
Lattice="7.0937 0.0000 0.0000 -2.0131 7.3203 0.0000 -2.0381 -0.5828 7.2902" Properties=species:S:1:pos:R:3 pbc="T T T"
Li 0.0000 0.0000 0.0000
La -0.3512 1.8542 5.9751
La -1.3693 5.5196 6.0106
La -0.3383 5.8498 2.2903
La 0.6902 2.1129 2.3262
La 2.3522 4.6246 4.9641
La 3.3807 0.8877 5.0000
La 4.4117 1.2179 1.2796
La 3.3936 4.8833 1.3152
Cu -1.0191 -0.2914 3.6451
Cu -1.0066 3.6602 0.0000
Cu -2.0256 3.3688 3.6451
O -1.4815 -0.4295 5.4431
O -0.4752 1.8767 0.0169
O -1.4706 3.5219 1.8161
O -2.4990 5.2259 3.6607
O 0.1764 3.9106 4.3711
O 2.2076 0.5410 0.7228
O 1.2440 0.4099 4.2524
O 1.2563 4.3661 0.6061
O 1.7861 2.3714 6.6842
O 1.7984 6.3277 3.0378
O 0.8348 6.1965 6.5675
O 2.8660 2.8270 2.9191
O 5.5414 1.5116 3.6295
O 4.5130 3.2156 5.4741
O 3.5176 4.8608 7.2733
O 4.5239 7.1670 1.8471
```

The distance to the lowest polymorph of the same formula is 0.00 kcal/mol of atoms. Its space group is P-1. As for the crystal system: triclinic. As for the total moment: 0.000 μB/atom. The final energy is -7.4252 eV per atom.



First-principles (GGA-PBE) data for an optimized crystal structure of LiLa14Cu6O28, as listed in the Materials Project database.

```
98
Lattice="7.0858 0.0000 0.0000 3.0419 11.2940 0.0000 2.0177 3.4393 16.6372" Properties=species:S:1:pos:R:3 pbc="T T T"
Li 0.0000 0.0000 0.0000
Li 1.0089 1.7197 8.3186
La 1.6853 4.4779 6.8659
La 2.6908 6.1496 15.1058
La 4.3704 9.3776 13.4486
La 3.3650 7.6144 5.0362
La 1.6741 1.8918 2.0621
La 2.6756 3.5705 10.2951
La 4.3783 6.7836 8.6954
La 3.3700 5.0073 0.2867
La 6.7352 14.0765 14.0085
La 5.7336 12.3078 5.5996
La 4.3677 4.1761 3.9489
La 5.3846 5.8464 12.1772
La 6.7204 11.4946 9.1984
La 5.7066 9.7300 0.8006
La 6.4388 5.0033 15.8366
La 5.4250 3.2387 7.4388
La 6.7609 8.8869 4.4600
La 7.7778 10.5572 12.6883
La 6.4119 2.4256 11.0376
La 5.4102 0.6568 2.6287
La 8.7755 9.7261 16.3504
La 7.7672 7.9497 7.9418
La 9.4698 11.1628 6.3420
La 10.4714 12.8416 14.5750
La 8.7804 7.1190 11.6010
La 7.7750 5.3557 3.1885
La 9.4547 8.5838 1.5314
La 10.4602 10.2554 9.7713
Cu 5.0578 12.1340 11.8826
Cu 4.0537 10.4249 3.5589
Cu 5.0637 9.5548 7.1304
Cu 6.0635 11.2663 15.4428
Cu 5.0663 6.9385 2.3758
Cu 6.0741 8.6682 10.6970
Cu 6.0714 6.0651 5.9401
Cu 7.0792 7.7948 14.2614
Cu 6.0819 3.4670 1.1944
Cu 7.0818 5.1786 9.5068
Cu 8.0918 4.3085 13.0782
Cu 7.0877 2.5994 4.7546
O 3.8253 10.3516 15.7107
O 2.2461 5.9116 8.8987
O 1.5978 2.5991 12.4579
O 4.4860 12.5418 10.1472
O 3.6309 10.8848 1.7847
O 5.4877 12.9506 16.0444
O 2.8312 6.2275 2.9948
O 3.2509 5.2196 12.8091
O 3.8406 7.7643 10.9706
O 2.2426 3.3166 4.1392
O 4.6403 11.2971 7.7038
O 4.4674 9.9550 5.3443
O 5.6405 11.7338 13.6271
O 5.4768 10.3766 11.3096
O 4.8338 7.0821 14.8725
O 3.2272 2.5927 8.0482
O 3.8280 5.1744 6.2089
O 4.2394 4.1394 16.0496
O 4.6382 8.7051 2.9484
O 4.4760 7.3510 0.6155
O 5.6507 9.1334 8.9032
O 5.4740 7.7930 6.5576
O 4.8231 4.4840 10.1140
O 3.8230 2.5729 1.4538
O 6.3061 11.3035 3.2931
O 6.6581 9.5740 14.8431
O 7.3199 12.8344 11.2595
O 6.4903 8.1960 12.4940
O 5.6551 6.5374 4.1432
O 4.8255 1.8989 5.3777
O 5.4874 5.1594 1.7941
O 5.8393 3.4298 13.3441
O 8.3224 12.1604 15.1834
O 7.3224 10.2494 6.5231
O 6.6715 6.9403 10.0796
O 6.4948 5.5999 7.7339
O 7.6695 7.3823 16.0217
O 7.5072 6.0282 13.6887
O 7.9061 10.5940 0.5876
O 8.3174 9.5589 10.4283
O 8.9183 12.1406 8.5889
O 7.3116 7.6512 1.7646
O 6.6686 4.3567 5.3275
O 6.5050 2.9996 3.0100
O 7.6780 4.7783 11.2929
O 7.5051 3.4362 8.9334
O 9.9028 11.4168 12.4980
O 8.3049 6.9690 5.6665
O 8.8946 9.5138 3.8280
O 9.3142 8.5059 13.6424
O 6.6577 1.7827 0.5927
O 8.5146 3.8485 14.8525
O 7.6594 2.1915 6.4900
O 10.5476 12.1343 4.1792
O 9.8993 8.8217 7.7384
O 8.3202 4.3817 0.9264
```

Its space group is P-1. As for the crystal system: triclinic. As for the total moment: 0.000 μB/atom. The final energy is -7.4164 eV per atom.



First-principles (GGA-PBE) data for an optimized crystal structure of LiLa20Cu9O40, as listed in the Materials Project database.

```
70
Lattice="8.9560 0.0000 0.0000 -2.3984 10.0949 0.0000 -3.8655 -3.0777 10.6217" Properties=species:S:1:pos:R:3 pbc="T T T"
Li 0.0000 0.0000 0.0000
La -3.7201 6.7013 5.0891
La -4.3577 0.0721 10.4977
La -1.7937 -1.6537 8.6583
La -0.9458 4.9652 3.3960
La 0.2976 1.2262 2.9167
La -2.7691 4.7981 8.3852
La -0.1546 3.0215 6.4883
La 0.6117 9.6371 1.2671
La 1.8834 5.9091 0.8362
La 1.2364 -0.6621 6.2596
La 1.4557 7.6794 4.3621
La 0.8087 1.1081 9.7855
La 2.0803 -2.6199 9.3546
La 2.8467 3.9957 4.1334
La 5.4612 2.2191 2.2365
La 2.3945 5.7910 7.7050
La 3.6379 2.0520 7.2257
La 4.4858 8.6709 1.9634
La 7.0498 6.9451 0.1240
La 6.4122 0.3160 5.5326
Cu -3.1319 3.5086 5.3109
Cu -2.2590 1.5816 8.5001
Cu -1.5213 8.1584 3.1905
Cu -0.6563 6.2337 6.3678
Cu 2.4808 2.7179 1.0683
Cu 0.2113 4.2994 9.5534
Cu 3.3484 0.7835 4.2539
Cu 4.2134 -1.1412 7.4312
Cu 4.9511 5.4356 2.1216
O -2.6847 6.7426 2.5983
O -1.0708 -0.8171 4.1858
O -4.6543 5.8593 9.2914
O -2.7765 2.6063 6.9534
O -1.8774 9.0693 1.5622
O -3.8858 2.8057 9.8620
O -1.1911 2.3810 4.3042
O -1.9880 4.9180 5.8906
O 1.3349 1.3250 0.4921
O 0.5398 3.8491 2.0488
O -0.6287 0.4084 7.1113
O -1.1853 7.2624 4.8147
O -1.7392 0.5555 10.0326
O -2.2973 7.4120 7.7539
O 0.4185 7.0212 2.2101
O 2.0310 -0.5207 3.7771
O -0.9208 2.9025 8.9799
O -1.7551 5.4142 10.5438
O 0.9610 5.0301 4.9841
O 2.8298 1.8110 2.7075
O -0.1378 5.2062 7.9142
O 1.7311 1.9871 5.6376
O 4.4472 1.6030 0.0779
O 3.6129 4.1147 1.6418
O 0.6611 7.5379 6.8446
O 2.2736 -0.0040 8.4116
O 4.9894 -0.3948 2.8678
O 4.4313 6.4617 0.5891
O 3.8774 -0.2452 5.8070
O 3.3208 6.6088 3.5104
O 2.1523 3.1681 8.5729
O 1.3572 5.6922 10.1296
O 4.6801 2.0992 4.7311
O 3.8832 4.6363 6.3175
O 6.5779 4.2115 0.7597
O 4.5695 -2.0521 9.0595
O 5.4686 4.4109 3.6683
O 7.3464 1.1579 1.3303
O 3.7629 7.8343 6.4359
O 5.3768 0.2746 8.0234
```

Its space group is P-1. As for the crystal system: triclinic. As for the total moment: 0.001 μB/atom. The final energy is -7.4189 eV per atom.